Record 1
{
  "formula": "AlBi2O4",
  "functional": "PBE",
  "state": "relaxed",
  "space_group": "P4/ncc (130)",
  "e_form_ev_per_atom": -1.854,
  "e_tot_ev_per_atom": -5.935,
  "lattice_angstrom": [[-4.839, 1.762, 6.607], [-4.514, -6.902, -1.465], [3.859, -3.311, 3.710]],
  "species": ["Al", "Al", "Al", "Al", "Bi", "Bi", "Bi", "Bi", "Bi", "Bi", "Bi", "Bi", "O", "O", "O", "O", "O", "O", "O", "O", "O", "O", "O", "O", "O", "O", "O", "O"],
  "frac_coords": [[0.000, 0.500, 0.069], [0.500, 0.000, 0.431], [0.500, 0.000, 0.931], [0.000, 0.500, 0.569], [0.667, 0.667, 0.250], [0.167, 0.833, 0.250], [0.833, 0.167, 0.250], [0.333, 0.333, 0.250], [0.833, 0.833, 0.750], [0.333, 0.667, 0.750], [0.667, 0.333, 0.750], [0.167, 0.167, 0.750], [0.599, 0.801, 0.916], [0.301, 0.901, 0.916], [0.699, 0.099, 0.916], [0.401, 0.199, 0.916], [0.901, 0.301, 0.584], [0.099, 0.699, 0.584], [0.801, 0.599, 0.584], [0.199, 0.401, 0.584], [0.901, 0.699, 0.084], [0.199, 0.599, 0.084], [0.801, 0.401, 0.084], [0.099, 0.301, 0.084], [0.599, 0.199, 0.416], [0.401, 0.801, 0.416], [0.699, 0.901, 0.416], [0.301, 0.099, 0.416]]
}



Record 2
{
  "formula": "Y4NiB13",
  "functional": "PBE",
  "state": "relaxed",
  "space_group": "P4/mnc (128)",
  "e_form_ev_per_atom": -0.459,
  "e_tot_ev_per_atom": -7.041,
  "lattice_angstrom": [[-5.824, -3.229, 3.107], [2.521, -6.573, -2.106], [3.500, -0.570, 5.968]],
  "species": ["Y", "Y", "Y", "Y", "Y", "Y", "Y", "Y", "Ni", "Ni", "B", "B", "B", "B", "B", "B", "B", "B", "B", "B", "B", "B", "B", "B", "B", "B", "B", "B", "B", "B", "B", "B", "B", "B", "B", "B"],
  "frac_coords": [[0.685, 0.180, 0.500], [0.315, 0.820, 0.500], [0.185, 0.320, 0.000], [0.815, 0.680, 0.000], [0.820, 0.685, 0.500], [0.180, 0.315, 0.500], [0.680, 0.185, 0.000], [0.320, 0.815, 0.000], [0.500, 0.500, 0.500], [0.000, 0.000, 0.000], [0.500, 0.500, 0.000], [0.000, 0.000, 0.500], [0.907, 0.407, 0.250], [0.093, 0.593, 0.250], [0.407, 0.093, 0.750], [0.593, 0.907, 0.750], [0.593, 0.907, 0.250], [0.407, 0.093, 0.250], [0.907, 0.407, 0.750], [0.093, 0.593, 0.750], [0.540, 0.670, 0.244], [0.460, 0.330, 0.244], [0.040, 0.830, 0.744], [0.960, 0.170, 0.744], [0.330, 0.540, 0.244], [0.670, 0.460, 0.244], [0.170, 0.040, 0.744], [0.830, 0.960, 0.744], [0.460, 0.330, 0.756], [0.540, 0.670, 0.756], [0.960, 0.170, 0.256], [0.040, 0.830, 0.256], [0.670, 0.460, 0.756], [0.330, 0.540, 0.756], [0.830, 0.960, 0.256], [0.170, 0.040, 0.256]]
}



Record 3
{
  "formula": "Mg4SiGe",
  "functional": "PBE",
  "state": "relaxed",
  "space_group": "F-43m (216)",
  "relative_energy_ev_per_fu": 3.242,
  "e_form_ev_per_atom": 0.324,
  "e_tot_ev_per_atom": -2.417,
  "lattice_angstrom": [[-3.974, 0.000, -3.974], [3.974, -3.974, 0.000], [-3.974, -3.974, 0.000]],
  "species": ["Mg", "Mg", "Mg", "Mg", "Si", "Ge"],
  "frac_coords": [[0.750, 0.375, 0.875], [0.250, 0.375, 0.375], [0.250, 0.875, 0.375], [0.750, 0.375, 0.375], [0.000, 0.000, 0.000], [0.500, 0.750, 0.750]]
}



Record 4
{
  "formula": "CaLaAl4",
  "functional": "PBE",
  "state": "relaxed",
  "space_group": "F-43m (216)",
  "e_form_ev_per_atom": -0.394,
  "e_tot_ev_per_atom": -4.048,
  "lattice_angstrom": [[0.916, 2.326, 5.143], [-3.073, 4.520, 1.682], [-3.907, -0.577, 4.136]],
  "species": ["Ca", "La", "Al", "Al", "Al", "Al"],
  "frac_coords": [[0.250, 0.250, 0.250], [0.000, 0.000, 0.000], [0.625, 0.625, 0.125], [0.625, 0.125, 0.625], [0.125, 0.625, 0.625], [0.625, 0.625, 0.625]]
}



Record 5
{
  "formula": "Os3W",
  "functional": "PBE",
  "state": "relaxed",
  "space_group": "P6_3/mmc (194)",
  "e_form_ev_per_atom": -0.058,
  "e_tot_ev_per_atom": -11.719,
  "lattice_angstrom": [[2.006, 2.861, 4.334], [-4.356, 1.964, -2.856], [-2.740, -2.159, 2.693]],
  "species": ["Os", "Os", "Os", "Os", "Os", "Os", "W", "W"],
  "frac_coords": [[0.167, 0.333, 0.250], [0.667, 0.833, 0.250], [0.167, 0.833, 0.250], [0.833, 0.667, 0.750], [0.333, 0.167, 0.750], [0.833, 0.167, 0.750], [0.333, 0.667, 0.750], [0.667, 0.333, 0.250]]
}



Record 6
{
  "formula": "Ho8Fe68C3",
  "functional": "PBE",
  "state": "relaxed",
  "space_group": "Pm (6)",
  "e_form_ev_per_atom": -0.039,
  "e_tot_ev_per_atom": -8.144,
  "lattice_angstrom": [[0.000, 0.000, -8.275], [-4.290, -7.390, 0.000], [-12.731, 7.310, 0.000]],
  "species": ["Ho", "Ho", "Ho", "Ho", "Ho", "Ho", "Ho", "Ho", "Fe", "Fe", "Fe", "Fe", "Fe", "Fe", "Fe", "Fe", "Fe", "Fe", "Fe", "Fe", "Fe", "Fe", "Fe", "Fe", "Fe", "Fe", "Fe", "Fe", "Fe", "Fe", "Fe", "Fe", "Fe", "Fe", "Fe", "Fe", "Fe", "Fe", "Fe", "Fe", "Fe", "Fe", "Fe", "Fe", "Fe", "Fe", "Fe", "Fe", "Fe", "Fe", "Fe", "Fe", "Fe", "Fe", "Fe", "Fe", "Fe", "Fe", "Fe", "Fe", "Fe", "Fe", "Fe", "Fe", "Fe", "Fe", "Fe", "Fe", "Fe", "Fe", "Fe", "Fe", "Fe", "Fe", "Fe", "Fe", "C", "C", "C"],
  "frac_coords": [[0.250, 0.500, 0.167], [0.250, 0.000, 0.667], [0.750, 0.001, 0.334], [0.750, 0.500, 0.835], [0.750, 0.000, 0.994], [0.750, 0.491, 0.497], [0.250, 0.000, 0.000], [0.250, 0.501, 0.500], [0.482, 0.499, 0.333], [0.484, 0.000, 0.834], [0.483, 0.748, 0.083], [0.483, 0.248, 0.583], [0.483, 0.251, 0.083], [0.481, 0.752, 0.584], [0.518, 0.000, 0.166], [0.518, 0.500, 0.666], [0.519, 0.750, 0.417], [0.516, 0.249, 0.917], [0.516, 0.250, 0.417], [0.515, 0.750, 0.917], [0.982, 0.000, 0.166], [0.982, 0.500, 0.666], [0.981, 0.750, 0.417], [0.984, 0.249, 0.917], [0.984, 0.250, 0.417], [0.985, 0.750, 0.917], [0.018, 0.499, 0.333], [0.016, 0.000, 0.834], [0.017, 0.748, 0.083], [0.017, 0.248, 0.583], [0.017, 0.251, 0.083], [0.019, 0.752, 0.584], [0.750, 0.651, 0.020], [0.750, 0.149, 0.521], [0.750, 0.215, 0.164], [0.750, 0.715, 0.664], [0.750, 0.638, 0.310], [0.750, 0.144, 0.814], [0.750, 0.349, 0.020], [0.750, 0.854, 0.526], [0.750, 0.785, 0.163], [0.750, 0.285, 0.664], [0.750, 0.356, 0.314], [0.750, 0.855, 0.814], [0.250, 0.849, 0.479], [0.250, 0.349, 0.980], [0.250, 0.294, 0.336], [0.250, 0.795, 0.836], [0.250, 0.856, 0.184], [0.250, 0.356, 0.684], [0.250, 0.151, 0.480], [0.250, 0.651, 0.979], [0.250, 0.707, 0.336], [0.250, 0.205, 0.836], [0.250, 0.143, 0.185], [0.250, 0.643, 0.685], [0.605, 0.499, 0.166], [0.605, 0.000, 0.668], [0.394, 0.000, 0.333], [0.394, 0.500, 0.833], [0.106, 0.000, 0.333], [0.106, 0.500, 0.833], [0.895, 0.499, 0.166], [0.895, 0.000, 0.668], [0.498, 0.000, 0.501], [0.500, 0.500, 0.000], [0.498, 0.251, 0.249], [0.498, 0.752, 0.750], [0.497, 0.748, 0.249], [0.498, 0.249, 0.750], [0.002, 0.000, 0.501], [0.000, 0.500, 0.000], [0.002, 0.251, 0.249], [0.002, 0.752, 0.750], [0.003, 0.748, 0.249], [0.002, 0.249, 0.750], [0.750, 0.000, 0.163], [0.750, 0.500, 0.664], [0.750, 0.746, 0.418]]
}



Record 7
{
  "formula": "KBrF4",
  "functional": "PBE",
  "state": "relaxed",
  "space_group": "I4/mcm (140)",
  "relative_energy_ev_per_fu": 2.314,
  "e_form_ev_per_atom": -1.590,
  "e_tot_ev_per_atom": -3.017,
  "lattice_angstrom": [[-3.028, 3.028, 6.284], [3.028, -3.028, 6.284], [3.028, 3.028, -6.284]],
  "species": ["K", "K", "Br", "Br", "F", "F", "F", "F", "F", "F", "F", "F"],
  "frac_coords": [[0.000, 0.000, 0.000], [0.500, 0.500, 0.000], [0.750, 0.250, 0.500], [0.250, 0.750, 0.500], [0.027, 0.527, 0.804], [0.277, 0.777, 0.804], [0.223, 0.027, 0.500], [0.527, 0.723, 0.500], [0.777, 0.973, 0.500], [0.973, 0.473, 0.196], [0.723, 0.223, 0.196], [0.473, 0.277, 0.500]]
}



Record 8
{
  "formula": "Eu7Cl2F12",
  "functional": "PBE",
  "state": "relaxed",
  "space_group": "P-6 (174)",
  "e_form_ev_per_atom": -3.843,
  "e_tot_ev_per_atom": -8.268,
  "lattice_angstrom": [[-4.690, 3.823, -8.087], [-5.162, -1.642, 8.524], [0.862, 3.649, 1.225]],
  "species": ["Eu", "Eu", "Eu", "Eu", "Eu", "Eu", "Eu", "Cl", "Cl", "F", "F", "F", "F", "F", "F", "F", "F", "F", "F", "F", "F"],
  "frac_coords": [[0.667, 0.333, 0.000], [0.366, 0.922, 0.000], [0.556, 0.634, 0.000], [0.078, 0.444, 0.000], [0.780, 0.045, 0.500], [0.265, 0.220, 0.500], [0.955, 0.735, 0.500], [0.000, 0.000, 0.000], [0.333, 0.667, 0.500], [0.823, 0.214, 0.000], [0.391, 0.177, 0.000], [0.786, 0.609, 0.000], [0.604, 0.903, 0.000], [0.299, 0.396, 0.000], [0.097, 0.701, 0.000], [0.055, 0.286, 0.500], [0.231, 0.945, 0.500], [0.714, 0.769, 0.500], [0.571, 0.117, 0.500], [0.546, 0.429, 0.500], [0.883, 0.454, 0.500]]
}



Record 9
{
  "formula": "AuBr4N",
  "functional": "PBE",
  "state": "relaxed",
  "space_group": "P2_1/c (14)",
  "e_form_ev_per_atom": 0.802,
  "e_tot_ev_per_atom": -2.164,
  "lattice_angstrom": [[-1.396, 5.331, -3.145], [1.600, -3.496, -6.637], [-7.511, -5.256, -5.576]],
  "species": ["Au", "Au", "Br", "Br", "Br", "Br", "Br", "Br", "Br", "Br", "N", "N"],
  "frac_coords": [[0.000, 0.500, 0.500], [0.500, 0.500, 0.000], [0.983, 0.872, 0.384], [0.017, 0.128, 0.616], [0.483, 0.128, 0.116], [0.517, 0.872, 0.884], [0.788, 0.460, 0.165], [0.212, 0.540, 0.835], [0.288, 0.540, 0.335], [0.712, 0.460, 0.665], [0.000, 0.000, 0.000], [0.500, 0.000, 0.500]]
}



Record 10
{
  "formula": "Na6HfMg3P4S2O24",
  "functional": "PBE",
  "state": "relaxed",
  "space_group": "P1 (1)",
  "e_form_ev_per_atom": -2.721,
  "e_tot_ev_per_atom": -6.593,
  "lattice_angstrom": [[-6.918, -2.837, 4.955], [7.889, 1.700, 3.869], [-6.226, 21.133, 3.431]],
  "species": ["Na", "Na", "Na", "Na", "Na", "Na", "Na", "Na", "Na", "Na", "Na", "Na", "Na", "Na", "Na", "Na", "Na", "Na", "Hf", "Hf", "Hf", "Mg", "Mg", "Mg", "Mg", "Mg", "Mg", "Mg", "Mg", "Mg", "P", "P", "P", "P", "P", "P", "P", "P", "P", "P", "P", "P", "S", "S", "S", "S", "S", "S", "O", "O", "O", "O", "O", "O", "O", "O", "O", "O", "O", "O", "O", "O", "O", "O", "O", "O", "O", "O", "O", "O", "O", "O", "O", "O", "O", "O", "O", "O", "O", "O", "O", "O", "O", "O", "O", "O", "O", "O", "O", "O", "O", "O", "O", "O", "O", "O", "O", "O", "O", "O", "O", "O", "O", "O", "O", "O", "O", "O", "O", "O", "O", "O", "O", "O", "O", "O", "O", "O", "O", "O"],
  "frac_coords": [[0.364, 0.365, 0.253], [0.639, 0.635, 0.745], [0.995, 0.348, 0.748], [0.298, 0.341, 0.584], [0.028, 0.692, 0.580], [0.673, 0.963, 0.582], [0.291, 0.963, 0.080], [0.664, 0.692, 0.082], [0.043, 0.343, 0.083], [0.323, 0.296, 0.912], [0.979, 0.305, 0.412], [0.696, 0.677, 0.412], [0.005, 0.000, 0.494], [0.995, 0.988, 0.992], [0.656, 0.309, 0.829], [0.666, 0.319, 0.329], [0.325, 0.670, 0.171], [0.339, 0.668, 0.664], [0.671, 0.341, 0.978], [0.667, 0.334, 0.479], [0.337, 0.674, 0.818], [0.005, 0.998, 0.352], [0.997, 0.003, 0.852], [0.994, 0.006, 0.652], [0.004, 0.996, 0.151], [0.661, 0.328, 0.685], [0.673, 0.340, 0.184], [0.330, 0.665, 0.014], [0.333, 0.664, 0.512], [0.333, 0.675, 0.320], [0.297, 0.293, 0.751], [0.707, 0.002, 0.749], [0.964, 0.336, 0.586], [0.667, 0.630, 0.586], [0.963, 0.628, 0.086], [0.371, 0.334, 0.086], [0.633, 0.675, 0.919], [0.038, 0.369, 0.918], [0.328, 0.961, 0.921], [0.628, 0.958, 0.417], [0.330, 0.370, 0.415], [0.045, 0.673, 0.418], [0.296, 0.999, 0.249], [0.703, 0.705, 0.250], [0.998, 0.294, 0.250], [0.001, 0.710, 0.749], [0.372, 0.038, 0.585], [0.666, 0.041, 0.086], [0.208, 0.026, 0.300], [0.806, 0.790, 0.304], [0.981, 0.191, 0.304], [0.212, 0.190, 0.807], [0.980, 0.795, 0.801], [0.822, 0.026, 0.802], [0.774, 0.961, 0.691], [0.187, 0.216, 0.693], [0.027, 0.807, 0.693], [0.787, 0.805, 0.194], [0.021, 0.210, 0.195], [0.199, 0.979, 0.192], [0.877, 0.360, 0.641], [0.480, 0.120, 0.637], [0.640, 0.516, 0.641], [0.877, 0.508, 0.139], [0.639, 0.123, 0.138], [0.484, 0.359, 0.141], [0.461, 0.306, 0.029], [0.846, 0.538, 0.029], [0.694, 0.151, 0.031], [0.454, 0.147, 0.531], [0.687, 0.536, 0.529], [0.846, 0.309, 0.530], [0.547, 0.691, 0.976], [0.147, 0.455, 0.974], [0.313, 0.861, 0.978], [0.552, 0.856, 0.476], [0.304, 0.451, 0.473], [0.140, 0.693, 0.477], [0.122, 0.630, 0.365], [0.516, 0.875, 0.363], [0.369, 0.485, 0.360], [0.125, 0.483, 0.861], [0.355, 0.870, 0.865], [0.512, 0.641, 0.863], [0.007, 0.821, 0.410], [0.812, 0.985, 0.411], [0.170, 0.191, 0.409], [0.023, 0.193, 0.911], [0.175, 0.989, 0.912], [0.812, 0.826, 0.910], [0.982, 0.172, 0.587], [0.199, 0.021, 0.589], [0.836, 0.808, 0.588], [0.973, 0.806, 0.089], [0.823, 0.024, 0.090], [0.189, 0.171, 0.089], [0.690, 0.165, 0.743], [0.484, 0.330, 0.746], [0.847, 0.533, 0.745], [0.681, 0.527, 0.247], [0.844, 0.313, 0.245], [0.470, 0.160, 0.245], [0.635, 0.499, 0.922], [0.857, 0.352, 0.922], [0.496, 0.146, 0.922], [0.655, 0.147, 0.423], [0.497, 0.354, 0.424], [0.855, 0.502, 0.424], [0.356, 0.498, 0.079], [0.145, 0.652, 0.078], [0.513, 0.867, 0.079], [0.354, 0.865, 0.578], [0.507, 0.652, 0.579], [0.144, 0.499, 0.579], [0.315, 0.845, 0.255], [0.526, 0.682, 0.253], [0.159, 0.467, 0.253], [0.312, 0.481, 0.756], [0.155, 0.683, 0.755], [0.522, 0.836, 0.757]]
}



Record 11
{
  "formula": "HfMg6BiO8",
  "functional": "PBE",
  "state": "relaxed",
  "space_group": "P4/mmm (123)",
  "relative_energy_ev_per_fu": 0.915,
  "e_form_ev_per_atom": -2.359,
  "e_tot_ev_per_atom": -5.955,
  "lattice_angstrom": [[-1.961, -2.017, -8.661], [-3.890, -1.970, 1.340], [-2.170, 3.988, -0.437]],
  "species": ["Hf", "Mg", "Mg", "Mg", "Mg", "Mg", "Mg", "Bi", "O", "O", "O", "O", "O", "O", "O", "O"],
  "frac_coords": [[0.000, 0.500, 0.500], [0.500, 0.000, 0.000], [0.500, 0.500, 0.500], [0.272, 0.000, 0.500], [0.728, 0.000, 0.500], [0.272, 0.500, 0.000], [0.728, 0.500, 0.000], [0.000, 0.000, 0.000], [0.283, 0.000, 0.000], [0.717, 0.000, 0.000], [0.257, 0.500, 0.500], [0.743, 0.500, 0.500], [0.000, 0.000, 0.500], [0.500, 0.000, 0.500], [0.000, 0.500, 0.000], [0.500, 0.500, 0.000]]
}



Record 12
{
  "formula": "CeMnSi2",
  "functional": "PBE",
  "state": "relaxed",
  "space_group": "Cmcm (63)",
  "e_form_ev_per_atom": -0.588,
  "e_tot_ev_per_atom": -7.110,
  "lattice_angstrom": [[2.034, -8.584, 0.000], [2.034, 8.584, 0.000], [0.000, 0.000, 3.985]],
  "species": ["Ce", "Ce", "Mn", "Mn", "Si", "Si", "Si", "Si"],
  "frac_coords": [[0.103, 0.897, 0.250], [0.897, 0.103, 0.750], [0.249, 0.751, 0.750], [0.751, 0.249, 0.250], [0.323, 0.677, 0.250], [0.677, 0.323, 0.750], [0.536, 0.464, 0.750], [0.464, 0.536, 0.250]]
}